The following is a DFT calculation (GGA-PBE) of a relaxed structure of Ba4PrEuCu6O14.

Cell: 7.885 23.913 3.879 Å, 90.00 90.00 90.00°
Space group Cmmm (No. 65)
Asymmetric unit:
Ba 0.000 0.160 0.000 x4
Ba 0.000 0.340 0.000 x4
Pr 0.000 0.000 0.000 x2
Eu 0.000 0.500 0.000 x2
Cu 0.248 0.424 0.500 x8
Cu 0.250 0.250 0.500 x4
O 0.000 0.065 0.500 x4
O 0.000 0.250 0.500 x4
O 0.000 0.436 0.500 x4
O 0.248 0.436 0.000 x8
O 0.250 0.172 0.500 x8

Computed properties:
Total DFT energy (no corrections) ... -6.2183 eV per atom
ΔH_f (0 K) ... -2104 meV per atom